# CsTiNiOF5

Crystalline CsTiNiOF5 at its relaxed geometry (GGA+U, the Materials Project database).

Computed properties:
size of the total moment: 0.0 Bohr magnetons per cell

Cell and atoms, written as CIF:
```
data_CsTiNiOF5
_chemical_formula_sum 'Cs4 Ti4 Ni4 O4 F20'
_cell_length_a 7.4078
_cell_length_b 7.4177
_cell_length_c 12.6794
_cell_angle_alpha 91.31
_cell_angle_beta 106.99
_cell_angle_gamma 60.04
_space_group_name_H-M_alt 'P 1'
_space_group_IT_number 1
loop_
_space_group_symop_operation_xyz
'x,y,z'
loop_
_atom_site_label
_atom_site_type_symbol
_atom_site_fract_x
_atom_site_fract_y
_atom_site_fract_z
_atom_site_occupancy
F1 F 0.6782 0.6078 0.9641 1
Ni1 Ni 0.0000 0.5000 0.0000 1
Ni2 Ni 0.5000 0.5000 0.0000 1
F2 F 0.0621 0.4172 0.1652 1
F3 F 0.6860 0.4172 0.1652 1
Cs1 Cs 0.3735 0.5648 0.3117 1
O1 O 0.9575 0.9387 0.8538 1
F4 F 0.6860 0.9172 0.6652 1
Cs2 Cs 0.6265 0.9352 0.1883 1
F5 F 0.9379 0.2893 0.5412 1
Ti1 Ti 0.0001 0.7500 0.7500 1
F6 F 0.0621 0.7107 0.4588 1
Ni3 Ni 0.5000 0.0000 0.5000 1
O2 O 0.0425 0.0613 0.1462 1
F7 F 0.9379 0.0828 0.3348 1
F8 F 0.9379 0.7893 0.0412 1
F9 F 0.3219 0.8922 0.5359 1
F10 F 0.6859 0.2108 0.9588 1
O3 O 0.9575 0.4387 0.3538 1
F11 F 0.0621 0.2107 0.9588 1
O4 O 0.0425 0.5613 0.6462 1
Ti2 Ti 0.9999 0.2500 0.2500 1
Ti3 Ti 0.0000 0.0000 0.0000 1
F12 F 0.6781 0.1078 0.4641 1
F13 F 0.9379 0.5828 0.8348 1
Ti4 Ti 0.0000 0.5000 0.5000 1
F14 F 0.3141 0.2893 0.5412 1
Cs3 Cs 0.6265 0.4352 0.6883 1
F15 F 0.3140 0.0828 0.3348 1
Cs4 Cs 0.3735 0.0648 0.8117 1
F16 F 0.0621 0.9172 0.6652 1
Ni4 Ni 0.0000 0.9999 0.5000 1
F17 F 0.3141 0.7893 0.0412 1
F18 F 0.3218 0.3922 0.0359 1
F19 F 0.6859 0.7108 0.4588 1
F20 F 0.3140 0.5828 0.8348 1
```

=====

# CsNiPdF5

Crystalline CsNiPdF5 at its relaxed geometry (GGA+U, the Materials Project database).

Computed properties:
size of the total moment: 4.0 Bohr magnetons per cell
symmetry: Imma, No. 74

Cell and atoms, written as CIF:
```
data_CsNiPdF5
_chemical_formula_sum 'Cs2 Ni2 Pd2 F10'
_cell_length_a 7.3643
_cell_length_b 7.3643
_cell_length_c 7.3643
_cell_angle_alpha 126.29
_cell_angle_beta 117.98
_cell_angle_gamma 86.51
_space_group_name_H-M_alt 'P 1'
_space_group_IT_number 1
loop_
_space_group_symop_operation_xyz
'x,y,z'
loop_
_atom_site_label
_atom_site_type_symbol
_atom_site_fract_x
_atom_site_fract_y
_atom_site_fract_z
_atom_site_occupancy
Cs1 Cs 0.3691 0.1191 0.2500 1
Cs2 Cs 0.6309 0.8809 0.7500 1
Ni1 Ni 0.0000 0.5000 0.5000 1
Ni2 Ni 0.5000 0.5000 0.0000 1
Pd1 Pd 0.0000 0.0000 0.5000 1
Pd2 Pd 0.0000 0.5000 0.0000 1
F1 F 0.0579 0.3936 0.2114 1
F2 F 0.0579 0.8465 0.6643 1
F3 F 0.3179 0.1535 0.7114 1
F4 F 0.3179 0.6064 0.1643 1
F5 F 0.3201 0.5701 0.7500 1
F6 F 0.6799 0.4299 0.2500 1
F7 F 0.6821 0.3936 0.8357 1
F8 F 0.6821 0.8465 0.2886 1
F9 F 0.9421 0.1535 0.3357 1
F10 F 0.9421 0.6064 0.7886 1
```

=====

# CsVNiF6

Crystalline CsVNiF6 at its relaxed geometry (GGA+U, the Materials Project database).

Computed properties:
size of the total moment: 8.0 Bohr magnetons per cell
symmetry: Imma, No. 74

Cell and atoms, written as CIF:
```
data_CsVNiF6
_chemical_formula_sum 'Cs2 V2 Ni2 F12'
_cell_length_a 7.4336
_cell_length_b 7.4336
_cell_length_c 7.4336
_cell_angle_alpha 120.79
_cell_angle_beta 118.61
_cell_angle_gamma 90.53
_space_group_name_H-M_alt 'P 1'
_space_group_IT_number 1
loop_
_space_group_symop_operation_xyz
'x,y,z'
loop_
_atom_site_label
_atom_site_type_symbol
_atom_site_fract_x
_atom_site_fract_y
_atom_site_fract_z
_atom_site_occupancy
Cs1 Cs 0.3724 0.1224 0.2500 1
Cs2 Cs 0.6276 0.8776 0.7500 1
V1 V 0.0000 0.5000 0.5000 1
V2 V 0.5000 0.5000 0.0000 1
Ni1 Ni 0.0000 0.0000 0.5000 1
Ni2 Ni 0.0000 0.5000 0.0000 1
F1 F 0.0702 0.8202 0.2500 1
F2 F 0.0736 0.4341 0.2600 1
F3 F 0.0736 0.8135 0.6394 1
F4 F 0.3162 0.5662 0.7500 1
F5 F 0.3259 0.1865 0.7600 1
F6 F 0.3259 0.5659 0.1394 1
F7 F 0.6741 0.4341 0.8606 1
F8 F 0.6741 0.8135 0.2400 1
F9 F 0.6838 0.4338 0.2500 1
F10 F 0.9264 0.1865 0.3606 1
F11 F 0.9264 0.5659 0.7400 1
F12 F 0.9298 0.1798 0.7500 1
```

=====

# Cs2VO2F4

Crystalline Cs2VO2F4 at its relaxed geometry (GGA+U, the Materials Project database).

Computed properties:
size of the total moment: 2.0 Bohr magnetons per cell
symmetry: Cmcm, No. 63

Cell and atoms, written as CIF:
```
data_Cs2VO2F4
_chemical_formula_sum 'Cs4 V2 O4 F8'
_cell_length_a 8.1584
_cell_length_b 8.1584
_cell_length_c 7.5091
_cell_angle_alpha 90.00
_cell_angle_beta 90.00
_cell_angle_gamma 134.45
_space_group_name_H-M_alt 'P 1'
_space_group_IT_number 1
loop_
_space_group_symop_operation_xyz
'x,y,z'
loop_
_atom_site_label
_atom_site_type_symbol
_atom_site_fract_x
_atom_site_fract_y
_atom_site_fract_z
_atom_site_occupancy
Cs1 Cs 0.0495 0.9505 0.7500 1
Cs2 Cs 0.2663 0.7337 0.2500 1
Cs3 Cs 0.7337 0.2663 0.7500 1
Cs4 Cs 0.9505 0.0495 0.2500 1
V1 V 0.3772 0.6228 0.7500 1
V2 V 0.6228 0.3772 0.2500 1
O1 O 0.2654 0.7346 0.7500 1
O2 O 0.4914 0.5086 0.2500 1
O3 O 0.5086 0.4914 0.7500 1
O4 O 0.7346 0.2654 0.2500 1
F1 F 0.1745 0.4015 0.5721 1
F2 F 0.1745 0.4015 0.9279 1
F3 F 0.4015 0.1745 0.0721 1
F4 F 0.4015 0.1745 0.4279 1
F5 F 0.5985 0.8255 0.5721 1
F6 F 0.5985 0.8255 0.9279 1
F7 F 0.8255 0.5985 0.0721 1
F8 F 0.8255 0.5985 0.4279 1
```

=====

# CsRb2VF6

Crystalline CsRb2VF6 at its relaxed geometry (GGA+U, the Materials Project database).

Computed properties:
size of the total moment: 2.0 Bohr magnetons per cell
symmetry: Fm-3m, No. 225

Cell and atoms, written as CIF:
```
data_CsRb2VF6
_chemical_formula_sum 'Cs1 Rb2 V1 F6'
_cell_length_a 6.7257
_cell_length_b 6.7257
_cell_length_c 6.7257
_cell_angle_alpha 60.00
_cell_angle_beta 60.00
_cell_angle_gamma 60.00
_space_group_name_H-M_alt 'P 1'
_space_group_IT_number 1
loop_
_space_group_symop_operation_xyz
'x,y,z'
loop_
_atom_site_label
_atom_site_type_symbol
_atom_site_fract_x
_atom_site_fract_y
_atom_site_fract_z
_atom_site_occupancy
Cs1 Cs 0.0000 0.0000 0.0000 1
Rb1 Rb 0.2500 0.2500 0.2500 1
Rb2 Rb 0.7500 0.7500 0.7500 1
V1 V 0.5000 0.5000 0.5000 1
F1 F 0.2937 0.2937 0.7063 1
F2 F 0.2937 0.7063 0.2937 1
F3 F 0.2937 0.7063 0.7063 1
F4 F 0.7063 0.2937 0.2937 1
F5 F 0.7063 0.2937 0.7063 1
F6 F 0.7063 0.7063 0.2937 1
```

=====

# Cs2VF6

Crystalline Cs2VF6 at its relaxed geometry (GGA+U, the Materials Project database).

Computed properties:
symmetry: Cmcm, No. 63

Cell and atoms, written as CIF:
```
data_Cs2VF6
_chemical_formula_sum 'Cs4 V2 F12'
_cell_length_a 8.1990
_cell_length_b 8.1990
_cell_length_c 7.4120
_cell_angle_alpha 90.00
_cell_angle_beta 90.00
_cell_angle_gamma 134.84
_space_group_name_H-M_alt 'P 1'
_space_group_IT_number 1
loop_
_space_group_symop_operation_xyz
'x,y,z'
loop_
_atom_site_label
_atom_site_type_symbol
_atom_site_fract_x
_atom_site_fract_y
_atom_site_fract_z
_atom_site_occupancy
Cs1 Cs 0.0489 0.9511 0.7500 1
Cs2 Cs 0.2688 0.7312 0.2500 1
Cs3 Cs 0.7312 0.2688 0.7500 1
Cs4 Cs 0.9511 0.0489 0.2500 1
V1 V 0.3848 0.6152 0.7500 1
V2 V 0.6152 0.3848 0.2500 1
F1 F 0.1634 0.4002 0.5706 1
F2 F 0.1634 0.4002 0.9294 1
F3 F 0.2609 0.7391 0.7500 1
F4 F 0.4002 0.1634 0.0706 1
F5 F 0.4002 0.1634 0.4294 1
F6 F 0.4949 0.5051 0.2500 1
F7 F 0.5051 0.4949 0.7500 1
F8 F 0.5998 0.8366 0.5706 1
F9 F 0.5998 0.8366 0.9294 1
F10 F 0.7391 0.2609 0.2500 1
F11 F 0.8366 0.5998 0.0706 1
F12 F 0.8366 0.5998 0.4294 1
```

=====

# CsWF7

Crystalline CsWF7 at its relaxed geometry (GGA+U, the Materials Project database).

Computed properties:
symmetry: Pa-3, No. 205

Cell and atoms, written as CIF:
```
data_CsWF7
_chemical_formula_sum 'Cs8 W8 F56'
_cell_length_a 10.8769
_cell_length_b 10.8769
_cell_length_c 10.8769
_cell_angle_alpha 90.00
_cell_angle_beta 90.00
_cell_angle_gamma 90.00
_space_group_name_H-M_alt 'P 1'
_space_group_IT_number 1
loop_
_space_group_symop_operation_xyz
'x,y,z'
loop_
_atom_site_label
_atom_site_type_symbol
_atom_site_fract_x
_atom_site_fract_y
_atom_site_fract_z
_atom_site_occupancy
Cs1 Cs 0.0000 0.0000 0.0000 1
Cs2 Cs 0.0000 0.0000 0.5000 1
Cs3 Cs 0.0000 0.5000 0.0000 1
Cs4 Cs 0.0000 0.5000 0.5000 1
Cs5 Cs 0.5000 0.0000 0.0000 1
Cs6 Cs 0.5000 0.0000 0.5000 1
Cs7 Cs 0.5000 0.5000 0.0000 1
Cs8 Cs 0.5000 0.5000 0.5000 1
W1 W 0.2236 0.2236 0.2236 1
W2 W 0.2236 0.2764 0.7236 1
W3 W 0.2764 0.7236 0.2236 1
W4 W 0.2764 0.7764 0.7236 1
W5 W 0.7236 0.2236 0.2764 1
W6 W 0.7236 0.2764 0.7764 1
W7 W 0.7764 0.7236 0.2764 1
W8 W 0.7764 0.7764 0.7764 1
F1 F 0.0711 0.1355 0.2579 1
F2 F 0.0711 0.3645 0.7579 1
F3 F 0.1173 0.1435 0.7729 1
F4 F 0.1173 0.3565 0.2729 1
F5 F 0.1355 0.2421 0.5711 1
F6 F 0.1355 0.2579 0.0711 1
F7 F 0.1435 0.7271 0.6173 1
F8 F 0.1435 0.7729 0.1173 1
F9 F 0.1735 0.6735 0.8265 1
F10 F 0.1735 0.8265 0.3265 1
F11 F 0.2271 0.6173 0.3565 1
F12 F 0.2271 0.8827 0.8565 1
F13 F 0.2421 0.5711 0.1355 1
F14 F 0.2421 0.9289 0.6355 1
F15 F 0.2579 0.0711 0.1355 1
F16 F 0.2579 0.4289 0.6355 1
F17 F 0.2729 0.1173 0.3565 1
F18 F 0.2729 0.3827 0.8565 1
F19 F 0.3265 0.1735 0.8265 1
F20 F 0.3265 0.3265 0.3265 1
F21 F 0.3565 0.2271 0.6173 1
F22 F 0.3565 0.2729 0.1173 1
F23 F 0.3645 0.7421 0.5711 1
F24 F 0.3645 0.7579 0.0711 1
F25 F 0.3827 0.6435 0.7729 1
F26 F 0.3827 0.8565 0.2729 1
F27 F 0.4289 0.6355 0.2579 1
F28 F 0.4289 0.8645 0.7579 1
F29 F 0.5711 0.1355 0.2421 1
F30 F 0.5711 0.3645 0.7421 1
F31 F 0.6173 0.1435 0.7271 1
F32 F 0.6173 0.3565 0.2271 1
F33 F 0.6355 0.2421 0.9289 1
F34 F 0.6355 0.2579 0.4289 1
F35 F 0.6435 0.7271 0.8827 1
F36 F 0.6435 0.7729 0.3827 1
F37 F 0.6735 0.6735 0.6735 1
F38 F 0.6735 0.8265 0.1735 1
F39 F 0.7271 0.6173 0.1435 1
F40 F 0.7271 0.8827 0.6435 1
F41 F 0.7421 0.5711 0.3645 1
F42 F 0.7421 0.9289 0.8645 1
F43 F 0.7579 0.0711 0.3645 1
F44 F 0.7579 0.4289 0.8645 1
F45 F 0.7729 0.1173 0.1435 1
F46 F 0.7729 0.3827 0.6435 1
F47 F 0.8265 0.1735 0.6735 1
F48 F 0.8265 0.3265 0.1735 1
F49 F 0.8565 0.2271 0.8827 1
F50 F 0.8565 0.2729 0.3827 1
F51 F 0.8645 0.7421 0.9289 1
F52 F 0.8645 0.7579 0.4289 1
F53 F 0.8827 0.6435 0.7271 1
F54 F 0.8827 0.8565 0.2271 1
F55 F 0.9289 0.6355 0.2421 1
F56 F 0.9289 0.8645 0.7421 1
```

=====

# CsFePH12O10

Crystalline CsFePH12O10 at its relaxed geometry (GGA+U, the Materials Project database).

Computed properties:
size of the total moment: 4.0 Bohr magnetons per cell
symmetry: C2, No. 5

Cell and atoms, written as CIF:
```
data_CsFePH12O10
_chemical_formula_sum 'Cs1 Fe1 P1 H12 O10'
_cell_length_a 7.1836
_cell_length_b 7.1836
_cell_length_c 7.1534
_cell_angle_alpha 119.74
_cell_angle_beta 119.74
_cell_angle_gamma 90.33
_space_group_name_H-M_alt 'P 1'
_space_group_IT_number 1
loop_
_space_group_symop_operation_xyz
'x,y,z'
loop_
_atom_site_label
_atom_site_type_symbol
_atom_site_fract_x
_atom_site_fract_y
_atom_site_fract_z
_atom_site_occupancy
Cs1 Cs 0.0000 0.0000 0.0000 1
Fe1 Fe 0.2517 0.7483 0.5000 1
P1 P 0.4994 0.5006 0.0000 1
H1 H 0.0991 0.1328 0.6165 1
H2 H 0.1008 0.4835 0.9690 1
H3 H 0.1012 0.4848 0.6159 1
H4 H 0.5147 0.1334 0.0320 1
H5 H 0.5150 0.1326 0.6164 1
H6 H 0.5148 0.4836 0.3820 1
H7 H 0.5152 0.8988 0.3841 1
H8 H 0.5164 0.4852 0.6180 1
H9 H 0.5165 0.8992 0.0310 1
H10 H 0.8674 0.4850 0.3836 1
H11 H 0.8666 0.4853 0.9680 1
H12 H 0.8672 0.9009 0.3835 1
O1 O 0.0371 0.5376 0.0768 1
O2 O 0.0374 0.9626 0.5000 1
O3 O 0.0381 0.5378 0.4980 1
O4 O 0.2339 0.4124 0.8234 1
O5 O 0.4616 0.5384 0.5000 1
O6 O 0.4622 0.9619 0.5020 1
O7 O 0.4624 0.9629 0.9232 1
O8 O 0.5882 0.4116 0.1779 1
O9 O 0.5884 0.4118 0.8221 1
O10 O 0.5876 0.7661 0.1766 1
```

=====

| no. | raw total energy (eV per atom) | energy relative to the elements (eV/atom) |
| --- | --- | --- |
| 1 | -5.73 | -3.1119 |
| 2 | -4.30 | -2.2244 |
| 3 | -5.19 | -2.9373 |
| 4 | -5.18 | -2.5632 |
| 5 | -4.90 | -3.0004 |
| 6 | -5.15 | -3.1629 |
| 7 | -5.10 | -2.9243 |
| 8 | -5.44 | -1.6022 |